Li2MnV3O8: optimized geometry, GGA+U.

formation energy = -2.427 eV per atom
crystal system = trigonal
energy above the most stable polymorph in this dataset = 10.4 meV/atom
total magnetic moment = 48.00 Bohr magnetons per cell

Unit cell a=5.9677 b=5.9677 c=29.6857 alpha=90.00 beta=90.00 gamma=120.00
Space group R3 (No. 146, hexagonal axes)
Symmetry-distinct sites (fractional):
Li  0.0000  0.0000  0.0000 (multiplicity 3)
Li  0.0000  0.0000  0.1901 (multiplicity 3)
Li  0.0000  0.0000  0.4999 (multiplicity 3)
Li  0.0000  0.0000  0.6904 (multiplicity 3)
Mn  0.0000  0.0000  0.3788 (multiplicity 3)
Mn  0.0000  0.0000  0.8792 (multiplicity 3)
V  0.1603  0.8221  0.7732 (multiplicity 9)
V  0.1636  0.3387  0.2733 (multiplicity 9)
O  0.0000  0.0000  0.0692 (multiplicity 3)
O  0.0000  0.0000  0.3091 (multiplicity 3)
O  0.0000  0.0000  0.5693 (multiplicity 3)
O  0.0000  0.0000  0.8093 (multiplicity 3)
O  0.0281  0.4989  0.3078 (multiplicity 9)
O  0.0283  0.5290  0.8078 (multiplicity 9)
O  0.1701  0.3662  0.4045 (multiplicity 9)
O  0.1696  0.8038  0.9044 (multiplicity 9)